Ho4CrSe7 PBE optimized geometry; symmetry = Cm (8); VASP energy = -5.925 eV per atom; mass density = 7.078 Mg/m³; ΔE_f = -1829 meV/atom
1.0
6.512 -1.983 0.000
6.512 1.983 0.000
-3.206 0.000 11.486
Ho Cr Se
4 1 7
Cartesian
0.000 0.000 0.000
3.134 0.000 6.830
6.418 0.000 4.092
6.488 0.000 9.193
9.841 0.000 2.506
-1.938 0.000 8.519
1.699 0.000 3.298
1.956 0.000 9.694
5.025 0.000 1.665
8.560 0.000 0.266
7.643 0.000 6.639
10.957 0.000 4.914

CrI2 PBE optimized geometry; symmetry = Cmc2_1 (36); VASP energy = -4.530 eV per atom; mass density = 4.361 Mg/m³; ΔE_f = -549 meV/atom
1.0
1.976 -4.021 0.000
1.976 4.021 0.000
0.000 0.000 14.657
Cr I
2 4
Cartesian
1.976 2.375 7.329
1.976 -2.375 0.000
1.976 2.341 1.756
1.976 0.698 13.022
1.976 -0.698 5.693
1.976 -2.341 9.085

CrI2 PBE optimized geometry; symmetry = C2/m (12); VASP energy = -4.538 eV per atom; mass density = 4.470 Mg/m³; ΔE_f = -557 meV/atom
1.0
3.935 -1.973 0.000
3.935 1.973 0.000
-3.472 0.000 7.314
Cr I
1 2
Cartesian
0.000 0.000 0.000
-0.522 0.000 5.681
4.920 0.000 1.633

CrI2 PBE optimized geometry; symmetry = P6_3mc (186); VASP energy = -4.516 eV per atom; mass density = 4.848 Mg/m³; ΔE_f = -535 meV/atom
1.0
4.101 0.000 0.000
-2.051 3.552 0.000
0.000 0.000 14.380
Cr I
2 4
Cartesian
0.000 2.368 0.000
2.051 1.184 7.190
0.000 0.000 5.555
0.000 0.000 12.746
0.000 2.368 8.814
2.051 1.184 1.624

CrI3 PBE optimized geometry; symmetry = P3_112 (151); VASP energy = -3.995 eV per atom; mass density = 4.739 Mg/m³; ΔE_f = -723 meV/atom
1.0
7.008 0.000 0.000
-3.504 6.069 0.000
0.000 0.000 21.394
Cr I
6 18
Cartesian
1.162 0.671 0.000
0.000 2.699 14.263
-1.166 4.719 7.131
1.166 4.719 0.000
5.846 0.671 7.131
3.504 4.727 14.263
1.081 0.519 5.562
0.990 0.677 15.832
-0.178 2.696 8.699
-1.258 4.567 12.695
0.178 2.696 19.826
-1.080 4.875 1.568
3.412 0.517 19.820
2.154 2.697 1.574
3.595 0.517 8.705
2.246 2.855 12.689
1.258 4.567 15.831
1.080 4.875 5.563
5.926 0.519 1.569
3.413 4.873 19.825
6.018 0.677 12.693
4.853 2.697 5.558
4.762 2.855 15.837
3.595 4.873 8.701

Mn2CrI6 PBE optimized geometry; symmetry = C2/m (12); VASP energy = -4.520 eV per atom; mass density = 4.714 Mg/m³; ΔE_f = -648 meV/atom
1.0
3.654 -2.044 0.000
3.654 2.044 0.000
-0.674 0.000 21.775
Mn Cr I
2 1 6
Cartesian
0.990 0.000 7.247
5.644 0.000 14.528
3.654 0.000 0.000
1.015 0.000 1.627
0.794 0.000 12.865
3.446 0.000 5.582
3.188 0.000 16.193
5.839 0.000 8.910
5.618 0.000 20.147

CrIn3 PBE optimized geometry; symmetry = R-3m (166); VASP energy = -4.091 eV per atom; mass density = 7.638 Mg/m³; ΔE_f = 386 meV/atom
1.0
1.555 0.898 10.283
-1.555 0.898 10.283
0.000 -1.796 10.283
Cr In
1 3
Cartesian
0.000 0.000 0.000
0.000 0.000 8.138
0.000 0.000 15.425
0.000 0.000 22.711

CrIn3 PBE optimized geometry; symmetry = P6_3/mmc (194); VASP energy = -4.169 eV per atom; mass density = 7.347 Mg/m³; ΔE_f = 308 meV/atom
1.0
6.225 0.000 0.000
-3.113 5.391 0.000
0.000 0.000 5.339
Cr In
2 6
Cartesian
0.000 3.594 1.335
3.113 1.797 4.004
0.000 1.834 4.004
-1.525 4.474 4.004
1.588 0.917 1.335
1.525 4.474 4.004
4.637 0.917 1.335
3.113 3.558 1.335

LiCr4InS8 PBE optimized geometry; symmetry = R3m (160); VASP energy = -6.141 eV per atom; mass density = 3.654 Mg/m³; ΔE_f = -974 meV/atom; ΔE to the lowest computed polymorph = 0.100 eV/atom
1.0
3.569 2.061 6.037
-3.569 2.061 6.037
0.000 -4.122 6.037
Li Cr In S
1 4 1 8
Cartesian
0.000 0.000 0.000
0.000 -2.126 9.823
-1.841 1.063 9.823
0.000 0.000 13.531
1.841 1.063 9.823
0.000 0.000 6.720
0.000 -1.976 5.072
-1.711 0.988 5.072
0.000 0.000 2.491
-1.734 -1.001 8.469
1.711 0.988 5.072
0.000 0.000 11.143
1.734 -1.001 8.469
0.000 2.002 8.469

LiCr4InS8 PBE optimized geometry; symmetry = F-43m (216); VASP energy = -6.241 eV per atom; mass density = 3.641 Mg/m³; ΔE_f = -1074 meV/atom; ΔE to the lowest computed polymorph = 0.000 eV/atom
1.0
0.000 5.113 5.113
5.113 0.000 5.113
5.113 5.113 0.000
Li Cr In S
1 4 1 8
Cartesian
0.000 0.000 0.000
6.440 3.787 3.787
3.787 6.440 3.787
3.787 3.787 6.440
6.440 6.440 6.440
2.557 2.557 2.557
3.992 3.992 3.992
6.234 6.234 3.992
6.234 3.992 6.234
8.821 6.520 6.520
3.992 6.234 6.234
6.520 8.821 6.520
6.520 6.520 8.821
8.821 8.821 8.821

MgCrInS4 PBE optimized geometry; symmetry = Imma (74); VASP energy = -5.200 eV per atom; mass density = 3.609 Mg/m³; ΔE_f = -1123 meV/atom
1.0
-3.684 3.758 5.308
3.684 -3.758 5.308
3.684 3.758 -5.308
Mg Cr In S
2 2 2 8
Cartesian
0.000 1.879 1.335
3.684 1.879 3.973
1.842 1.879 -2.654
1.842 -1.879 2.654
3.684 0.000 0.000
0.000 0.000 5.308
3.684 -0.240 2.645
3.684 3.518 -2.645
1.894 1.879 -0.222
5.474 1.879 -0.222
-1.790 1.879 5.530
1.790 1.879 5.530
0.000 0.240 7.952
0.000 3.998 2.663

CrIn3N3 PBE optimized geometry; symmetry = P2_1/m (11); VASP energy = -5.848 eV per atom; mass density = 5.150 Mg/m³; ΔE_f = 128 meV/atom
1.0
9.579 0.000 0.000
0.000 3.546 0.000
-4.744 0.000 8.325
Cr In N
2 6 6
Cartesian
0.030 0.887 2.768
4.805 2.660 5.556
-1.745 0.887 5.664
1.623 2.660 0.179
1.414 2.660 5.452
3.420 0.887 2.873
3.212 0.887 8.145
6.580 2.660 2.660
-1.613 0.887 3.280
0.416 0.887 1.096
1.287 0.887 3.935
3.548 2.660 4.389
4.418 2.660 7.229
6.448 2.660 5.044

CrInN2 PBE optimized geometry; symmetry = Pbca (61); VASP energy = -7.165 eV per atom; mass density = 5.090 Mg/m³; ΔE_f = -76 meV/atom
1.0
6.028 0.000 0.000
0.000 12.168 0.000
0.000 0.000 13.865
Cr In N
16 16 32
Cartesian
0.584 2.598 3.339
0.584 3.486 10.272
0.733 0.788 0.637
0.733 5.296 7.569
2.281 6.872 0.637
2.281 11.380 7.569
2.430 8.682 3.339
2.430 9.570 10.272
3.598 2.598 3.593
3.598 3.486 10.526
3.747 0.788 6.295
3.747 5.296 13.228
5.295 6.872 6.295
5.295 11.380 13.228
5.444 8.682 3.593
5.444 9.570 10.526
0.119 6.759 11.706
0.119 11.492 4.773
0.730 2.403 6.007
0.730 3.681 12.939
2.284 8.487 6.007
2.284 9.765 12.939
2.895 0.675 11.706
2.895 5.408 4.773
3.133 6.759 9.092
3.133 11.492 2.159
3.744 2.403 0.926
3.744 3.681 7.858
5.298 8.487 0.926
5.298 9.765 7.858
5.909 0.675 9.092
5.909 5.408 2.159
0.601 1.137 2.373
0.601 4.947 9.306
0.914 8.645 10.210
0.914 9.607 3.277
0.929 7.039 6.985
0.929 11.213 0.052
1.166 7.957 13.688
1.166 10.295 6.756
1.848 1.873 13.688
1.848 4.211 6.756
2.085 0.955 6.985
2.085 5.129 0.052
2.100 2.561 10.210
2.100 3.523 3.277
2.413 7.221 2.373
2.413 11.031 9.306
3.615 1.137 4.559
3.615 4.947 11.491
3.928 8.645 10.588
3.928 9.607 3.655
3.943 7.039 13.812
3.943 11.213 6.880
4.180 7.957 7.109
4.180 10.295 0.177
4.862 1.873 7.109
4.862 4.211 0.177
5.099 0.955 13.812
5.099 5.129 6.880
5.114 2.561 10.588
5.114 3.523 3.655
5.427 7.221 4.559
5.427 11.031 11.491

CrInNiS4 PBE optimized geometry; symmetry = Imma (74); VASP energy = -5.402 eV per atom; mass density = 4.441 Mg/m³; ΔE_f = -728 meV/atom
1.0
-3.553 3.647 5.105
3.553 -3.647 5.105
3.553 3.647 -5.105
Cr In Ni S
2 2 2 8
Cartesian
-1.777 1.823 2.553
1.777 1.823 2.553
0.000 0.000 0.000
0.000 3.647 0.000
3.553 1.823 -1.318
0.000 1.823 6.423
1.833 1.823 0.134
3.553 0.159 2.460
5.273 1.823 0.134
0.000 0.159 2.645
3.553 3.488 2.460
-1.720 1.823 4.971
0.000 3.488 2.645
1.720 1.823 4.971

Cr2InPd2 PBE optimized geometry; symmetry = P4/mbm (127); VASP energy = -6.345 eV per atom; mass density = 8.274 Mg/m³; ΔE_f = 139 meV/atom
1.0
7.267 0.000 0.000
0.000 7.267 0.000
0.000 0.000 3.281
Cr In Pd
4 2 4
Cartesian
1.158 2.476 0.000
2.476 6.109 0.000
4.791 1.158 0.000
6.109 4.791 0.000
0.000 0.000 1.640
3.633 3.633 1.640
0.997 4.630 1.640
2.637 0.997 1.640
4.630 6.270 1.640
6.270 2.637 1.640

Cr2InS4 PBE optimized geometry; symmetry = Imma (74); VASP energy = -6.045 eV per atom; mass density = 4.077 Mg/m³; ΔE_f = -818 meV/atom
1.0
-3.626 3.729 5.227
3.626 -3.729 5.227
3.626 3.729 -5.227
Cr In S
4 2 8
Cartesian
1.813 1.865 -2.613
1.813 -1.865 2.613
0.000 1.865 1.351
3.626 1.865 3.876
3.626 0.000 0.000
0.000 0.000 5.227
3.626 3.544 -2.634
3.626 -0.185 2.634
1.801 1.865 -0.170
1.825 -1.865 5.057
1.801 5.594 0.170
1.825 1.865 5.396
0.000 3.914 2.593
0.000 0.185 7.861

Cr3Ir PBE optimized geometry; symmetry = Pm-3n (223); VASP energy = -9.511 eV per atom; mass density = 11.503 Mg/m³; ΔE_f = -62 meV/atom
1.0
4.650 0.000 0.000
0.000 4.650 0.000
0.000 0.000 4.650
Cr Ir
6 2
Cartesian
0.000 1.162 2.325
0.000 3.487 2.325
1.162 2.325 0.000
2.325 0.000 1.162
2.325 0.000 3.487
3.487 2.325 0.000
0.000 0.000 0.000
2.325 2.325 2.325

CrIr PBE optimized geometry; symmetry = P-6m2 (187); VASP energy = -9.388 eV per atom; mass density = 15.377 Mg/m³; ΔE_f = -143 meV/atom
1.0
2.685 0.000 0.000
-1.343 2.326 0.000
0.000 0.000 4.223
Cr Ir
1 1
Cartesian
0.000 0.000 0.000
1.343 0.775 2.112

Cr3IrN PBE optimized geometry; symmetry = Pm-3m (221); VASP energy = -9.517 eV per atom; mass density = 10.815 Mg/m³; ΔE_f = -362 meV/atom
1.0
3.817 0.000 0.000
0.000 3.817 0.000
0.000 0.000 3.817
Cr Ir N
3 1 1
Cartesian
0.000 0.000 1.909
0.000 1.909 0.000
1.909 0.000 0.000
1.909 1.909 1.909
0.000 0.000 0.000

Ti2CrIr PBE optimized geometry; symmetry = Fm-3m (225); VASP energy = -9.132 eV per atom; mass density = 9.760 Mg/m³; ΔE_f = -561 meV/atom
1.0
0.000 3.069 3.069
3.069 0.000 3.069
3.069 3.069 0.000
Ti Cr Ir
2 1 1
Cartesian
1.535 1.535 1.535
4.604 4.604 4.604
0.000 0.000 0.000
3.069 3.069 3.069